Here is a geometry-optimized GdCuAs2 structure from Materials Project. Energies are from r²SCAN.

a b c (Å): 3.902 3.902 10.013
angles (deg): 90.00 90.00 90.00
Positions (direct):
Gd 0.000 0.500 0.762
Gd 0.500 0.000 0.238
Cu 0.000 0.000 0.500
Cu 0.500 0.500 0.500
As 0.500 0.500 0.000
As 0.000 0.000 0.000
As 0.500 0.000 0.655
As 0.000 0.500 0.345

Values from the calculation:
Crystal system ... tetragonal
Space-group type ... P4/nmm



Here is a geometry-optimized Nb3Sb2Te5 structure from Materials Project. Energies are from r²SCAN.

a b c (Å): 8.580 8.580 8.580
angles (deg): 109.47 109.47 109.47
Positions (direct):
Nb 0.000 0.343 0.343
Nb 0.343 0.000 0.343
Nb 0.657 0.000 0.657
Nb 0.657 0.657 0.000
Nb 0.343 0.343 0.000
Nb 0.000 0.657 0.657
Sb 0.333 0.000 0.000
Sb 0.000 0.333 0.000
Sb 0.667 0.667 0.667
Sb 0.000 0.000 0.333
Te 0.325 0.325 0.325
Te 0.250 0.750 0.500
Te 0.000 0.675 0.000
Te 0.500 0.750 0.250
Te 0.750 0.250 0.500
Te 0.500 0.250 0.750
Te 0.675 0.000 0.000
Te 0.000 0.000 0.675
Te 0.250 0.500 0.750
Te 0.750 0.500 0.250

Values from the calculation:
Crystal system ... cubic
Space-group type ... I-43m



Here is a geometry-optimized YSi2Ru2 structure from Materials Project. Energies are from r²SCAN.

a b c (Å): 4.167 4.167 5.607
angles (deg): 111.82 111.82 90.00
Positions (direct):
Y 0.000 0.000 0.000
Si 0.367 0.367 0.734
Si 0.633 0.633 0.266
Ru 0.750 0.250 0.500
Ru 0.250 0.750 0.500

Values from the calculation:
Crystal system ... tetragonal
Space-group type ... I4/mmm



Here is a geometry-optimized Ti2OsRu structure from Materials Project. Energies are from r²SCAN.

a b c (Å): 4.352 4.352 4.352
angles (deg): 60.00 60.00 60.00
Positions (direct):
Ti 0.000 0.000 0.000
Ti 0.500 0.500 0.500
Os 0.250 0.250 0.250
Ru 0.750 0.750 0.750

Values from the calculation:
Crystal system ... cubic
Space-group type ... Fm-3m



Number 1: ΔE_f -0.92 eV/atom, M_tot 13.98 μB/cell, E_tot -21.833 eV/atom. Number 2: ΔE_f -0.46 eV/atom, M_tot 0.00 μB/cell, E_tot -25.730 eV/atom. Number 3: ΔE_f -0.97 eV/atom, M_tot 0.00 μB/cell, E_tot -18.712 eV/atom. Number 4: ΔE_f -0.84 eV/atom, M_tot 0.00 μB/cell, E_tot -26.907 eV/atom.